[1]
{
  "formula": "CrPO5",
  "functional": "GGA+U",
  "state": "relaxed",
  "cell": [[5.9199, -0.0008, 5.1431], [-0.0007, 5.9219, 5.1429], [-5.9197, 0.0007, 5.1428]],
  "species": ["O", "O", "O", "O", "O", "O", "O", "O", "O", "O", "O", "O", "O", "O", "O", "O", "O", "O", "O", "O", "Cr", "Cr", "Cr", "Cr", "P", "P", "P", "P"],
  "fractional_positions": [[0.8476, 0.4491, 0.0269], [0.0470, 0.6793, 0.5978], [0.5240, 0.9491, 0.2032], [0.9532, 0.3206, 0.4023], [0.9633, 0.7500, 0.2133], [0.3475, 0.4490, 0.5267], [0.5470, 0.6791, 0.0979], [0.2771, 0.8207, 0.2263], [0.4529, 0.3209, 0.9020], [0.4634, 0.7500, 0.7134], [0.0366, 0.2500, 0.7866], [0.2230, 0.1790, 0.2738], [0.4761, 0.0509, 0.7968], [0.1523, 0.5508, 0.9732], [0.7229, 0.1794, 0.7738], [0.9758, 0.0509, 0.2966], [0.5365, 0.2500, 0.2866], [0.6525, 0.5510, 0.4732], [0.7770, 0.8208, 0.7261], [0.0241, 0.9491, 0.7035], [0.8833, 0.2501, 0.6334], [0.1165, 0.7500, 0.3665], [0.3833, 0.2499, 0.1333], [0.6167, 0.7500, 0.8666], [0.9999, 0.2499, 0.2499], [0.5002, 0.7500, 0.2501], [0.0001, 0.7500, 0.7501], [0.4999, 0.2501, 0.7498]],
  "corrected_energy_ev_per_cell": -220.3,
  "volume_a3_per_cell": 360.6,
  "magmom_total_mub_per_cell": 0.00,
  "de_polymorph_ev_per_atom": 0.000
}

[2]
{
  "formula": "CrP2O7",
  "functional": "GGA+U",
  "state": "relaxed",
  "cell": [[4.8010, 0.0000, 0.0000], [0.0000, 8.0245, 0.0000], [-1.9541, 0.0000, 6.6933]],
  "species": ["Cr", "Cr", "P", "P", "P", "P", "O", "O", "O", "O", "O", "O", "O", "O", "O", "O", "O", "O", "O", "O"],
  "fractional_positions": [[0.2197, 0.0000, 0.2275], [0.7803, 0.5000, 0.7725], [0.2338, 0.7340, 0.6038], [0.3870, 0.3173, 0.0081], [0.6130, 0.8173, 0.9919], [0.7662, 0.2340, 0.3962], [0.0276, 0.1789, 0.3285], [0.1398, 0.8334, 0.4135], [0.1451, 0.4473, 0.9608], [0.2795, 0.1396, 0.0119], [0.4180, 0.8265, 0.1336], [0.4191, 0.8630, 0.7698], [0.4302, 0.5823, 0.5933], [0.5698, 0.0823, 0.4067], [0.5809, 0.3630, 0.2302], [0.5820, 0.3265, 0.8664], [0.7205, 0.6396, 0.9881], [0.8549, 0.9473, 0.0392], [0.8602, 0.3334, 0.5865], [0.9724, 0.6789, 0.6715]],
  "piezo_max_c_m2": 0.354,
  "corrected_energy_ev_per_cell": -159.4,
  "volume_a3_per_cell": 257.9,
  "magmom_total_mub_per_cell": 4.00,
  "de_polymorph_ev_per_atom": 0.000
}

[3]
{
  "formula": "CrP4O12",
  "functional": "GGA+U",
  "state": "relaxed",
  "cell": [[12.6564, 0.0000, 0.0000], [0.0000, 8.3970, 0.0000], [0.0000, 0.0000, 9.1649]],
  "species": ["Cr", "Cr", "Cr", "Cr", "P", "P", "P", "P", "P", "P", "P", "P", "P", "P", "P", "P", "P", "P", "P", "P", "O", "O", "O", "O", "O", "O", "O", "O", "O", "O", "O", "O", "O", "O", "O", "O", "O", "O", "O", "O", "O", "O", "O", "O", "O", "O", "O", "O", "O", "O", "O", "O", "O", "O", "O", "O", "O", "O", "O", "O", "O", "O", "O", "O", "O", "O", "O", "O"],
  "fractional_positions": [[0.0000, 0.1396, 0.2500], [0.0000, 0.8604, 0.7500], [0.5000, 0.3604, 0.7500], [0.5000, 0.6396, 0.2500], [0.1392, 0.3187, 0.0047], [0.1392, 0.6813, 0.5047], [0.1500, 0.0334, 0.5132], [0.1500, 0.9666, 0.0132], [0.3500, 0.4666, 0.0132], [0.3500, 0.5334, 0.5132], [0.3608, 0.1813, 0.5047], [0.3608, 0.8187, 0.0047], [0.6392, 0.1813, 0.9953], [0.6392, 0.8187, 0.4953], [0.6500, 0.4666, 0.4868], [0.6500, 0.5334, 0.9868], [0.8500, 0.0334, 0.9868], [0.8500, 0.9666, 0.4868], [0.8608, 0.3187, 0.4953], [0.8608, 0.6813, 0.9953], [0.0659, 0.2995, 0.1356], [0.0659, 0.7005, 0.6356], [0.0677, 0.0280, 0.6327], [0.0677, 0.9720, 0.1327], [0.1043, 0.4078, 0.8758], [0.1043, 0.5922, 0.3758], [0.1212, 0.1317, 0.3804], [0.1212, 0.8683, 0.8804], [0.1821, 0.1407, 0.9620], [0.1821, 0.8593, 0.4620], [0.2457, 0.3919, 0.0803], [0.2457, 0.6081, 0.5803], [0.2543, 0.1081, 0.5803], [0.2543, 0.8919, 0.0803], [0.3179, 0.3593, 0.4620], [0.3179, 0.6407, 0.9620], [0.3788, 0.3683, 0.8804], [0.3788, 0.6317, 0.3804], [0.3957, 0.0922, 0.3758], [0.3957, 0.9078, 0.8758], [0.4323, 0.4720, 0.1327], [0.4323, 0.5280, 0.6327], [0.4341, 0.2005, 0.6356], [0.4341, 0.7995, 0.1356], [0.5659, 0.2005, 0.8644], [0.5659, 0.7995, 0.3644], [0.5677, 0.4720, 0.3673], [0.5677, 0.5280, 0.8673], [0.6043, 0.0922, 0.1242], [0.6043, 0.9078, 0.6242], [0.6212, 0.3683, 0.6196], [0.6212, 0.6317, 0.1196], [0.6821, 0.3593, 0.0380], [0.6821, 0.6407, 0.5380], [0.7457, 0.1081, 0.9197], [0.7457, 0.8919, 0.4197], [0.7543, 0.3919, 0.4197], [0.7543, 0.6081, 0.9197], [0.8179, 0.1407, 0.5380], [0.8179, 0.8593, 0.0380], [0.8788, 0.1317, 0.1196], [0.8788, 0.8683, 0.6196], [0.8957, 0.4078, 0.6242], [0.8957, 0.5922, 0.1242], [0.9323, 0.0280, 0.8673], [0.9323, 0.9720, 0.3673], [0.9341, 0.2995, 0.3644], [0.9341, 0.7005, 0.8644]],
  "corrected_energy_ev_per_cell": -529.0,
  "volume_a3_per_cell": 974.0,
  "magmom_total_mub_per_cell": 8.00,
  "de_polymorph_ev_per_atom": 0.004
}

[4]
{
  "formula": "CrPO4",
  "functional": "GGA+U",
  "state": "relaxed",
  "cell": [[5.5779, 0.0000, 0.0000], [0.0000, 11.1710, 0.0000], [-0.3073, 0.0000, 9.8372]],
  "species": ["Cr", "Cr", "Cr", "Cr", "Cr", "Cr", "Cr", "Cr", "P", "P", "P", "P", "P", "P", "P", "P", "O", "O", "O", "O", "O", "O", "O", "O", "O", "O", "O", "O", "O", "O", "O", "O", "O", "O", "O", "O", "O", "O", "O", "O", "O", "O", "O", "O", "O", "O", "O", "O"],
  "fractional_positions": [[0.1519, 0.1218, 0.0104], [0.1519, 0.3782, 0.5104], [0.3413, 0.5969, 0.2582], [0.3413, 0.9031, 0.7582], [0.6587, 0.0969, 0.2418], [0.6587, 0.4031, 0.7418], [0.8481, 0.6218, 0.4896], [0.8481, 0.8782, 0.9896], [0.1093, 0.1139, 0.3363], [0.1093, 0.3861, 0.8363], [0.4052, 0.6384, 0.5856], [0.4052, 0.8616, 0.0856], [0.5948, 0.1384, 0.9144], [0.5948, 0.3616, 0.4144], [0.8907, 0.6139, 0.1637], [0.8907, 0.8861, 0.6637], [0.0028, 0.1570, 0.1871], [0.0028, 0.3430, 0.6871], [0.1023, 0.5310, 0.1269], [0.1023, 0.9690, 0.6269], [0.1307, 0.2197, 0.4334], [0.1307, 0.2803, 0.9334], [0.1734, 0.5583, 0.5669], [0.1734, 0.9417, 0.0669], [0.3491, 0.0502, 0.3180], [0.3491, 0.4498, 0.8180], [0.3528, 0.7457, 0.6678], [0.3528, 0.7543, 0.1678], [0.3697, 0.0670, 0.8557], [0.3697, 0.4330, 0.3557], [0.4989, 0.1641, 0.0627], [0.4989, 0.3359, 0.5627], [0.5011, 0.6641, 0.4373], [0.5011, 0.8359, 0.9373], [0.6303, 0.5670, 0.6443], [0.6303, 0.9330, 0.1443], [0.6472, 0.2457, 0.8322], [0.6472, 0.2543, 0.3322], [0.6509, 0.5502, 0.1820], [0.6509, 0.9498, 0.6820], [0.8266, 0.0583, 0.9331], [0.8266, 0.4417, 0.4331], [0.8693, 0.7197, 0.0666], [0.8693, 0.7803, 0.5666], [0.8977, 0.0310, 0.3731], [0.8977, 0.4690, 0.8731], [0.9972, 0.6570, 0.3129], [0.9972, 0.8430, 0.8129]],
  "corrected_energy_ev_per_cell": -400.3,
  "volume_a3_per_cell": 613.0,
  "magmom_total_mub_per_cell": 24.00
}

Number 1: formation energy -2.18 eV per atom. Number 2: formation energy -2.46 eV per atom. Number 3: formation energy -2.45 eV per atom. Number 4: formation energy -2.53 eV per atom.